VASP calculation (meta-GGA r2SCAN) on a relaxed Nd3Er crystal.

Cell and atoms, written as CIF:
```
data_Nd3Er
_symmetry_space_group_name_H-M 'P 63/m m c'
_symmetry_Int_Tables_number 194
_symmetry_space_group_name_Hall '-P 6c 2c'
_cell_length_a 7.4169
_cell_length_b 7.4169
_cell_length_c 5.8612
_cell_angle_alpha 90.00
_cell_angle_beta 90.00
_cell_angle_gamma 120.00
loop_
_atom_site_label
_atom_site_type_symbol
_atom_site_fract_x
_atom_site_fract_y
_atom_site_fract_z
Nd1 Nd 0.1684 0.3368 0.2500
Er1 Er 0.3333 0.6667 0.7500
```

Computed properties:
VASP energy = -244.2 eV for the cell shown